Record 1
The following is a DFT calculation (r2SCAN) of a geometry-optimized Ca2MnReO6 structure.

The structure in extended XYZ format:
```
40
Lattice="-4.136 -1.241 3.292 2.969 -10.814 -0.347 4.632 1.077 6.087" Properties=species:S:1:pos:R:3 pbc="T T T"
Ca 1.173 -0.060 1.525
Ca 2.658 -5.468 1.352
Ca 1.994 -2.227 6.147
Ca 3.478 -7.634 5.974
Ca 0.808 -5.512 7.681
Ca 2.293 -10.919 7.508
Ca -0.012 -3.345 3.059
Ca 1.472 -8.752 2.886
Mn 2.723 -8.275 9.118
Mn 1.733 -5.489 4.516
Mn 1.239 -2.868 9.291
Mn 3.218 -10.896 4.342
Re -1.078 -3.406 6.248
Re 0.407 -8.813 6.075
Re 2.564 0.456 7.732
Re 4.049 -4.952 7.559
O 2.504 -3.967 3.192
O 3.989 -9.374 3.018
O 2.657 -3.703 7.892
O 4.142 -9.109 7.719
O -0.525 -1.605 6.014
O 0.959 -7.012 5.841
O -0.677 -1.871 1.314
O 0.807 -7.278 1.141
O 1.336 -1.536 3.674
O 2.820 -6.944 3.501
O 1.415 -1.005 8.383
O 2.900 -6.412 8.210
O 0.644 -4.035 5.531
O 2.128 -9.442 5.357
O 0.564 -4.568 0.822
O 2.049 -9.975 0.648
O -1.870 -3.386 4.456
O -0.385 -8.793 4.283
O 1.864 0.141 5.930
O 3.349 -5.266 5.756
O 3.851 -2.186 4.749
O 5.335 -7.593 4.575
O 0.117 -5.713 3.275
O 1.602 -11.120 3.102
```

Calculated values
Energy of formation = -2.499 eV per atom
Total moment = 0.381 μB per atom
Calculated volume = 470.5 Å³/cell



Record 2
The following is a DFT calculation (r2SCAN) of a geometry-optimized K4Ti3S14 structure.

The structure in extended XYZ format:
```
42
Lattice="4.000 10.567 -0.072 -4.000 10.567 -0.072 0.000 5.085 12.019" Properties=species:S:1:pos:R:3 pbc="T T T"
K -1.429 8.765 10.651
K -1.429 19.996 7.234
K 1.429 17.454 1.224
K 1.429 6.222 4.642
K -1.924 12.357 7.723
K -1.924 16.404 10.161
K 1.924 13.861 4.152
K 1.924 9.814 1.714
Ti 2.030 17.080 6.931
Ti 2.030 11.681 10.954
Ti -2.030 9.138 4.944
Ti -2.030 14.538 0.922
Ti 2.113 14.380 8.942
Ti -2.113 11.838 2.933
S 1.677 19.533 7.141
S 1.677 9.228 10.743
S -1.677 6.685 4.734
S -1.677 16.990 1.132
S 0.680 14.989 6.891
S 0.680 13.771 10.994
S -0.680 11.229 4.984
S -0.680 12.447 0.882
S 1.296 16.620 9.457
S 1.296 12.140 8.427
S -1.296 9.598 2.418
S -1.296 14.078 3.448
S -0.092 5.032 7.571
S -0.092 23.728 10.314
S 0.092 21.186 4.304
S 0.092 2.490 1.562
S 2.784 15.954 10.715
S 2.784 12.806 7.170
S -2.784 10.264 1.161
S -2.784 13.412 4.705
S 0.156 21.722 9.914
S 0.156 7.038 7.970
S -0.156 4.496 1.961
S -0.156 19.180 3.905
S -0.405 12.032 10.765
S -0.405 16.729 7.119
S 0.405 14.186 1.110
S 0.405 9.490 4.756
```

Calculated values
Energy of formation = -1.146 eV per atom
Space group = C2/c
Total moment = 0.000 μB per atom
Calculated volume = 1019.0 Å³/cell



Record 3
The following is a DFT calculation (r2SCAN) of a geometry-optimized ErNiP structure.

The structure in extended XYZ format:
```
12
Lattice="-0.646 2.381 2.956 -2.160 -3.157 -0.436 9.840 -7.907 8.522" Properties=species:S:1:pos:R:3 pbc="T T T"
Er 4.920 -3.954 4.261
Er 9.839 -7.907 8.522
Er 2.460 -1.977 2.130
Er 7.380 -5.931 6.392
Ni 1.994 -4.244 3.855
Ni 5.040 -4.440 7.187
Ni 7.418 -6.351 9.247
Ni -0.385 -2.332 1.795
P 6.980 -8.251 8.174
P 0.054 -0.433 2.868
P 2.565 -2.451 5.043
P 4.469 -6.233 5.999
```

Calculated values
Energy of formation = -1.329 eV per atom
Space group = P6_3/mmc
Total moment = 0.000 μB per atom
Calculated volume = 195.5 Å³/cell



Record 4
The following is a DFT calculation (r2SCAN) of a geometry-optimized Na2Al2As3 structure.

The structure in extended XYZ format:
```
56
Lattice="6.722 0.000 0.000 0.000 13.106 -0.009 0.000 0.074 14.394" Properties=species:S:1:pos:R:3 pbc="T T T"
Na 0.376 11.283 0.116
Na 3.737 1.860 7.072
Na 6.346 1.897 14.269
Na 2.985 11.320 7.313
Na 2.762 4.658 14.111
Na 6.123 8.559 7.472
Na 3.960 8.522 0.275
Na 0.599 4.621 6.914
Na 3.051 1.193 12.851
Na 6.412 12.023 8.732
Na 3.671 11.986 1.535
Na 0.310 1.156 5.654
Na 0.666 7.426 1.222
Na 4.027 5.716 5.966
Na 6.056 5.753 13.163
Na 2.695 7.463 8.419
Al 4.796 4.151 2.374
Al 1.435 8.992 4.814
Al 1.926 9.029 12.011
Al 5.287 4.188 9.571
Al 1.370 11.897 3.878
Al 4.731 1.245 3.310
Al 5.352 1.282 10.507
Al 1.991 11.934 11.075
Al 1.592 2.493 2.481
Al 4.953 10.650 4.707
Al 5.130 10.687 11.904
Al 1.769 2.530 9.679
Al 1.587 5.400 3.460
Al 4.948 7.742 3.728
Al 5.135 7.779 10.926
Al 1.774 5.437 10.657
As 0.205 0.462 2.508
As 3.566 12.681 4.680
As 6.517 12.718 11.877
As 3.156 0.499 9.705
As 3.672 2.128 1.245
As 0.311 11.015 5.944
As 3.050 11.051 13.141
As 6.411 2.165 8.442
As 0.336 4.452 1.500
As 3.697 8.691 5.689
As 6.386 8.727 12.886
As 3.025 4.489 8.697
As 1.091 3.381 11.946
As 4.452 9.835 9.637
As 5.631 9.799 2.440
As 2.270 3.344 4.749
As 3.568 6.291 2.267
As 0.207 6.851 4.922
As 3.154 6.888 12.119
As 6.515 6.328 9.464
As 5.301 3.337 11.884
As 1.940 9.879 9.699
As 1.422 9.842 2.502
As 4.783 3.300 4.687
```

Calculated values
Energy of formation = -0.638 eV per atom
Space group = P2_1/c
Total moment = 0.000 μB per atom
Calculated volume = 1268.1 Å³/cell



Record 5
The following is a DFT calculation (r2SCAN) of a geometry-optimized K2TbF5 structure.

The structure in extended XYZ format:
```
32
Lattice="6.556 0.000 0.000 0.000 7.264 0.000 0.000 0.000 10.719" Properties=species:S:1:pos:R:3 pbc="T T T"
K 3.504 3.607 8.884
K 3.052 3.656 1.835
K 0.226 3.657 7.194
K 3.052 7.239 1.835
K 6.330 3.607 3.525
K 3.504 0.025 8.884
K 6.330 0.025 3.525
K 0.226 7.239 7.194
Tb 3.711 5.448 5.389
Tb 2.845 1.816 5.329
Tb 0.433 1.816 10.688
Tb 6.123 5.448 0.031
F 5.481 5.448 8.625
F 1.075 1.816 2.093
F 2.203 1.816 7.453
F 4.353 5.448 3.266
F 2.404 5.448 7.160
F 4.152 1.816 3.558
F 5.682 1.816 8.918
F 0.874 5.448 1.801
F 5.903 5.448 5.483
F 0.653 1.816 5.236
F 2.625 1.816 10.595
F 3.931 5.448 0.123
F 4.249 0.252 6.191
F 2.307 7.011 4.528
F 0.971 7.011 9.887
F 2.307 3.884 4.528
F 5.585 0.252 0.832
F 4.249 3.380 6.191
F 5.585 3.380 0.832
F 0.971 3.884 9.887
```

Calculated values
Energy of formation = -3.762 eV per atom
Space group = Pnma
Total moment = 0.000 μB per atom
Calculated volume = 510.4 Å³/cell



Record 6
The following is a DFT calculation (r2SCAN) of a geometry-optimized Er3Ga2 structure.

The structure in extended XYZ format:
```
40
Lattice="9.934 0.461 4.495 -5.518 0.931 9.370 -2.199 -8.761 -6.125" Properties=species:S:1:pos:R:3 pbc="T T T"
Er -3.212 -3.711 3.653
Er 4.515 -3.946 1.215
Er 5.429 -3.658 4.087
Er -2.297 -3.423 6.524
Er 3.871 -6.861 -0.544
Er -1.654 -0.507 8.283
Er -1.261 -3.994 0.803
Er 3.478 -3.375 6.937
Er -5.071 -1.469 7.376
Er 0.571 -5.346 5.968
Er 3.698 -0.646 4.500
Er -2.680 -7.100 -0.526
Er 7.248 -0.754 3.380
Er 3.705 -6.531 5.089
Er 0.567 -1.641 5.597
Er 0.451 -6.106 -1.623
Er 7.289 -5.899 0.363
Er 1.646 -2.022 1.771
Er -1.481 -6.722 3.239
Er 4.897 -0.268 8.265
Er -5.030 -6.614 4.359
Er -1.487 -0.837 2.650
Er 1.650 -5.728 2.142
Er 1.766 -1.263 9.362
Ga 3.312 1.044 10.399
Ga 1.104 0.348 3.466
Ga -5.518 0.931 9.370
Ga 2.208 0.696 6.932
Ga -3.856 -5.808 1.812
Ga 6.074 -1.561 5.928
Ga 0.163 -3.274 7.982
Ga 2.054 -4.095 -0.243
Ga 4.758 -6.737 2.255
Ga 4.751 -1.004 1.681
Ga -0.226 -3.719 3.539
Ga -5.718 -3.552 5.272
Ga -2.540 -0.632 5.484
Ga -2.534 -6.365 6.058
Ga 2.443 -3.650 4.200
Ga 7.936 -3.817 2.468
```

Calculated values
Energy of formation = -0.642 eV per atom
Space group = I4/mcm
Total moment = 0.000 μB per atom
Calculated volume = 960.2 Å³/cell